A plane-wave DFT calculation with PBE-GGA was carried out for a geometry-optimized Al4Si2Mo3 structure.

Results
Space-group type   C2 (5)
M_tot   0.0 Bohr magnetons per cell

```
Al4Si2Mo3
1.0
2.4270 -4.1457 0.0000
2.4270 4.1457 0.0000
-2.3819 0.0000 13.2470
Al Si Mo
8 4 6
direct
0.0000 0.0000 0.0000
0.0074 0.6626 0.6680
0.2590 0.4065 0.1686
0.3327 0.3300 0.6647
0.3374 0.9926 0.3320
0.5935 0.7410 0.8314
0.6704 0.3296 0.0000
0.6700 0.6673 0.3353
0.2514 0.7486 0.5000
0.5952 0.0784 0.1675
0.9216 0.4048 0.8325
0.9287 0.0713 0.5000
0.0000 0.3306 0.3385
0.2597 0.0753 0.8332
0.3316 0.6684 0.0000
0.5946 0.4054 0.5000
0.6694 0.0000 0.6615
0.9247 0.7403 0.1668
```

A plane-wave DFT calculation with PBE-GGA was carried out for a geometry-optimized Ce2NiB10 structure.

Results
Space-group type   Pbam (55)

```
Ce2NiB10
1.0
5.6020 0.0000 0.0000
0.0000 11.1470 0.0000
0.0000 0.0000 4.1608
Ce Ni B
4 2 20
direct
0.1880 0.1379 0.0000
0.3120 0.6379 0.0000
0.6880 0.3621 0.0000
0.8120 0.8621 0.0000
0.0000 0.5000 0.5000
0.5000 0.0000 0.5000
0.0323 0.3124 0.5000
0.1252 0.9593 0.5000
0.1559 0.8022 0.5000
0.2008 0.3860 0.1987
0.2008 0.3860 0.8013
0.2992 0.8860 0.1987
0.2992 0.8860 0.8013
0.3441 0.3022 0.5000
0.3748 0.4593 0.5000
0.4677 0.8124 0.5000
0.5323 0.1876 0.5000
0.6252 0.5407 0.5000
0.6559 0.6978 0.5000
0.7008 0.1140 0.1987
0.7008 0.1140 0.8013
0.7992 0.6140 0.1987
0.7992 0.6140 0.8013
0.8441 0.1978 0.5000
0.8748 0.0407 0.5000
0.9677 0.6876 0.5000
```

A plane-wave DFT calculation with PBE-GGA was carried out for a geometry-optimized Bi2S structure.

Results
Space-group type   P2_1/c (14)
M_tot   0.0 Bohr magnetons per cell

```
Bi2S
1.0
7.5257 0.0000 0.0000
0.0000 11.8847 0.0000
-1.0627 0.0000 4.0306
Bi S
8 4
direct
0.0091 0.1525 0.0372
0.0091 0.3475 0.5372
0.3746 0.1209 0.7028
0.3746 0.3791 0.2028
0.6254 0.6209 0.7972
0.6254 0.8791 0.2972
0.9909 0.6525 0.4628
0.9909 0.8475 0.9628
0.3469 0.6003 0.1751
0.3469 0.8997 0.6751
0.6531 0.1003 0.3249
0.6531 0.3997 0.8249
```

A plane-wave DFT calculation with PBE-GGA was carried out for a geometry-optimized EuTe2Pb structure.

Results
Space-group type   P4/mmm (123)

```
EuTe2Pb
1.0
4.6665 0.0000 0.0000
0.0000 4.6665 0.0000
0.0000 0.0000 6.5566
Eu Te Pb
1 2 1
direct
0.0000 0.0000 0.0000
0.0000 0.0000 0.5000
0.5000 0.5000 0.0000
0.5000 0.5000 0.5000
```

A plane-wave DFT calculation with PBE-GGA was carried out for a geometry-optimized LuZnPt structure.

Results
Space-group type   Pnma (62)

```
LuZnPt
1.0
6.7858 0.0000 0.0000
0.0000 4.1778 0.0000
0.0000 0.0000 8.0269
Lu Zn Pt
4 4 4
direct
0.0312 0.2500 0.1823
0.4688 0.7500 0.6823
0.5312 0.2500 0.3177
0.9688 0.7500 0.8177
0.1442 0.2500 0.5624
0.3558 0.7500 0.0624
0.6442 0.2500 0.9376
0.8558 0.7500 0.4376
0.2449 0.7500 0.3778
0.2551 0.2500 0.8778
0.7449 0.7500 0.1222
0.7551 0.2500 0.6222
```

A plane-wave DFT calculation with PBE-GGA was carried out for a geometry-optimized Al8C3N4 structure.

Results
Space-group type   R-3m (166)
M_tot   0.0 Bohr magnetons per cell

```
Al8C3N4
1.0
1.6170 0.9336 18.5311
-1.6170 0.9336 18.5311
0.0000 -1.8672 18.5311
Al C N
8 3 4
direct
0.0624 0.0624 0.0624
0.1500 0.1500 0.1500
0.2255 0.2255 0.2255
0.3159 0.3159 0.3159
0.6841 0.6841 0.6841
0.7745 0.7745 0.7745
0.8500 0.8500 0.8500
0.9376 0.9376 0.9376
0.0000 0.0000 0.0000
0.1901 0.1901 0.1901
0.8099 0.8099 0.8099
0.0958 0.0958 0.0958
0.2825 0.2825 0.2825
0.7175 0.7175 0.7175
0.9042 0.9042 0.9042
```

A plane-wave DFT calculation with PBE-GGA was carried out for a geometry-optimized Sr3MgTi2O7 structure.

Results
Space-group type   Immm (71)
Excess energy over the best structure of this formula in the dataset   381.3 meV per atom
M_tot   1.7 Bohr magnetons per cell

```
Sr3MgTi2O7
1.0
-1.9435 2.5617 9.9757
1.9435 -2.5617 9.9757
1.9435 2.5617 -9.9757
Sr Mg Ti O
3 1 2 7
direct
0.0000 0.0000 0.0000
0.1776 0.1776 0.0000
0.8224 0.8224 0.0000
0.5000 0.0000 0.5000
0.3893 0.3893 0.0000
0.6107 0.6107 0.0000
0.0964 0.5964 0.5000
0.2983 0.2983 0.0000
0.4031 0.9031 0.5000
0.5000 0.5000 0.0000
0.5969 0.0969 0.5000
0.7017 0.7017 0.0000
0.9036 0.4036 0.5000
```

A plane-wave DFT calculation with PBE-GGA was carried out for a geometry-optimized CsNdP4O12 structure.

Results
Largest piezoelectric modulus   0.14 C/m²
Space-group type   P2_1 (4)
Excess energy over the best structure of this formula in the dataset   4.0 meV per atom
M_tot   0.0 Bohr magnetons per cell

```
CsNdP4O12
1.0
7.2311 0.0000 0.0000
0.0000 9.3168 0.0000
-1.4869 0.0000 8.7884
Cs Nd P O
2 2 8 24
direct
0.1693 0.0000 0.1734
0.8307 0.5000 0.8266
0.2999 0.1653 0.6977
0.7001 0.6653 0.3023
0.1446 0.5378 0.5421
0.1916 0.5917 0.2260
0.4166 0.3905 0.0714
0.4394 0.7747 0.6238
0.5606 0.2747 0.3762
0.5834 0.8905 0.9286
0.8084 0.0917 0.7740
0.8554 0.0378 0.4579
0.0103 0.1359 0.8171
0.0430 0.1096 0.4927
0.1618 0.4021 0.6329
0.2240 0.4642 0.1099
0.2241 0.5058 0.3864
0.2879 0.6506 0.6367
0.3437 0.7022 0.2316
0.3481 0.9184 0.5939
0.3608 0.3176 0.9225
0.4245 0.9964 0.9075
0.4250 0.2206 0.4727
0.4527 0.2663 0.2002
0.5473 0.7663 0.7998
0.5750 0.7206 0.5273
0.5755 0.4964 0.0925
0.6392 0.8176 0.0775
0.6519 0.4184 0.4061
0.6563 0.2022 0.7684
0.7121 0.1506 0.3633
0.7759 0.0058 0.6136
0.7760 0.9642 0.8901
0.8382 0.9021 0.3671
0.9570 0.6096 0.5073
0.9897 0.6359 0.1829
```

A plane-wave DFT calculation with PBE-GGA was carried out for a geometry-optimized Ho2OsAu structure.

Results
Space-group type   Fm-3m (225)
M_tot   0.0 Bohr magnetons per cell

```
Ho2OsAu
1.0
0.0000 3.4843 3.4843
3.4843 0.0000 3.4843
3.4843 3.4843 0.0000
Ho Os Au
2 1 1
direct
0.2500 0.2500 0.2500
0.7500 0.7500 0.7500
0.0000 0.0000 0.0000
0.5000 0.5000 0.5000
```

A plane-wave DFT calculation with PBE-GGA was carried out for a geometry-optimized LiBH4 structure.

Results
Space-group type   Pnma (62)
Excess energy over the best structure of this formula in the dataset   0.1 meV per atom
M_tot   0.0 Bohr magnetons per cell

```
LiBH4
1.0
7.2004 0.0000 0.0000
0.0000 4.4106 0.0000
0.0000 0.0000 6.7379
Li B H
4 4 16
direct
0.1574 0.2500 0.1090
0.3426 0.7500 0.6090
0.6574 0.2500 0.3910
0.8426 0.7500 0.8910
0.1910 0.7500 0.9246
0.3090 0.2500 0.4246
0.6910 0.7500 0.5754
0.8090 0.2500 0.0754
0.0884 0.7500 0.0694
0.0980 0.7500 0.7716
0.2082 0.0264 0.4261
0.2082 0.4736 0.4261
0.2918 0.5264 0.9261
0.2918 0.9736 0.9261
0.4020 0.2500 0.2716
0.4116 0.2500 0.5694
0.5884 0.7500 0.4306
0.5980 0.7500 0.7284
0.7082 0.0264 0.0739
0.7082 0.4736 0.0739
0.7918 0.5264 0.5739
0.7918 0.9736 0.5739
0.9020 0.2500 0.2284
0.9116 0.2500 0.9306
```

A plane-wave DFT calculation with PBE-GGA was carried out for a geometry-optimized Nb5Ge3N9 structure.

Results
Space-group type   Cmce (64)
M_tot   0.1 Bohr magnetons per cell

```
Nb5Ge3N9
1.0
4.3721 -5.2458 0.0000
4.3721 5.2458 0.0000
0.0000 0.0000 20.8005
Nb Ge N
20 12 36
direct
0.0295 0.6455 0.1076
0.0435 0.9565 0.8609
0.0589 0.9411 0.5927
0.1455 0.5295 0.6076
0.2053 0.2053 0.0000
0.2947 0.2947 0.5000
0.3545 0.9705 0.1076
0.4411 0.5589 0.0927
0.4565 0.5435 0.3609
0.4705 0.8545 0.6076
0.5295 0.1455 0.3924
0.5435 0.4565 0.6391
0.5589 0.4411 0.9073
0.6455 0.0295 0.8924
0.7053 0.7053 0.5000
0.7947 0.7947 0.0000
0.8545 0.4705 0.3924
0.9411 0.0589 0.4073
0.9565 0.0435 0.1391
0.9705 0.3545 0.8924
0.1865 0.8135 0.2440
0.1941 0.3059 0.2500
0.2322 0.7678 0.4322
0.2678 0.7322 0.9322
0.3059 0.1941 0.7500
0.3135 0.6865 0.7440
0.6865 0.3135 0.2560
0.6941 0.8059 0.2500
0.7322 0.2678 0.0678
0.7678 0.2322 0.5678
0.8059 0.6941 0.7500
0.8135 0.1865 0.7560
0.0518 0.2496 0.5726
0.0548 0.3405 0.4418
0.0890 0.9110 0.0537
0.0993 0.2222 0.8107
0.1595 0.4452 0.0582
0.1885 0.8115 0.6659
0.2222 0.0993 0.1893
0.2219 0.7781 0.8367
0.2496 0.0518 0.4274
0.2504 0.4482 0.9274
0.2778 0.4007 0.6893
0.2781 0.7219 0.3367
0.3115 0.6885 0.1659
0.3405 0.0548 0.5582
0.4007 0.2778 0.3107
0.4110 0.5890 0.5537
0.4452 0.1595 0.9418
0.4482 0.2504 0.0726
0.5518 0.7496 0.9274
0.5548 0.8405 0.0582
0.5890 0.4110 0.4463
0.5993 0.7222 0.6893
0.6595 0.9452 0.4418
0.6885 0.3115 0.8341
0.7219 0.2781 0.6633
0.7222 0.5993 0.3107
0.7496 0.5518 0.0726
0.7504 0.9482 0.5726
0.7781 0.2219 0.1633
0.7778 0.9007 0.8107
0.8115 0.1885 0.3341
0.8405 0.5548 0.9418
0.9007 0.7778 0.1893
0.9110 0.0890 0.9463
0.9452 0.6595 0.5582
0.9482 0.7504 0.4274
```

A plane-wave DFT calculation with PBE-GGA was carried out for a geometry-optimized Mg6BiB structure.

Results
Excess energy over the best structure of this formula in the dataset   68.1 meV per atom
M_tot   0.0 Bohr magnetons per cell

```
Mg6BiB
1.0
-0.5774 -2.7536 -3.5221
-3.3284 -3.6732 3.4174
-10.8994 6.6799 -3.4356
Mg B Bi
12 2 2
direct
0.0000 0.2576 0.5604
0.0000 0.0000 0.3232
0.5000 0.5000 0.6804
0.5000 0.7242 0.3988
0.0000 0.7424 0.5604
0.5000 0.2242 0.8988
0.0000 0.2424 0.0604
0.0000 0.5000 0.8232
0.0000 0.7576 0.0604
0.5000 0.7758 0.8988
0.5000 0.0000 0.1804
0.5000 0.2758 0.3988
0.0000 0.5000 0.4176
0.0000 0.0000 0.9176
0.5000 0.0000 0.6603
0.5000 0.5000 0.1603
```

A plane-wave DFT calculation with PBE-GGA was carried out for a geometry-optimized Nb2Te6I structure.

Results
Space-group type   P2_1/c (14)

```
Nb2Te6I
1.0
9.3831 0.0000 0.0000
0.0000 14.2855 0.0000
-3.8195 0.0000 9.0509
Nb Te I
8 24 4
direct
0.0242 0.0245 0.3692
0.0242 0.4755 0.8692
0.3246 0.5080 0.3703
0.3246 0.9920 0.8703
0.6754 0.0080 0.1297
0.6754 0.4920 0.6297
0.9758 0.5245 0.1308
0.9758 0.9755 0.6308
0.0461 0.0632 0.9093
0.0461 0.4368 0.4093
0.1262 0.6836 0.2708
0.1262 0.8164 0.7708
0.1503 0.1347 0.6437
0.1503 0.3653 0.1437
0.2570 0.5966 0.0894
0.2570 0.9034 0.5894
0.4166 0.5834 0.6611
0.4166 0.9166 0.1611
0.4554 0.1586 0.0278
0.4554 0.3414 0.5278
0.5446 0.6586 0.4722
0.5446 0.8414 0.9722
0.5834 0.0834 0.8389
0.5834 0.4166 0.3389
0.7430 0.0966 0.4106
0.7430 0.4034 0.9106
0.8497 0.6347 0.8563
0.8497 0.8653 0.3563
0.8738 0.1836 0.2292
0.8738 0.3164 0.7292
0.9539 0.5632 0.5907
0.9539 0.9368 0.0907
0.3117 0.0795 0.3485
0.3117 0.4205 0.8485
0.6883 0.5795 0.1515
0.6883 0.9205 0.6515
```

A plane-wave DFT calculation with PBE-GGA was carried out for a geometry-optimized CrN2 structure.

Results
Space-group type   P4_32_12 (96)
M_tot   0.0 Bohr magnetons per cell

```
CrN2
1.0
8.1370 0.0000 0.0000
0.0000 8.1370 0.0000
0.0000 0.0000 9.3123
Cr N
12 24
direct
0.0891 0.0891 0.0000
0.1204 0.6767 0.0027
0.1767 0.3796 0.2527
0.3233 0.8796 0.4973
0.3796 0.1767 0.7473
0.4109 0.5891 0.7500
0.5891 0.4109 0.2500
0.6204 0.8233 0.2473
0.6767 0.1204 0.9973
0.8233 0.6204 0.7527
0.8796 0.3233 0.5027
0.9109 0.9109 0.5000
0.0520 0.3695 0.4064
0.1150 0.8850 0.0435
0.1150 0.8850 0.4565
0.1305 0.5520 0.1564
0.1388 0.2117 0.1458
0.2117 0.1388 0.8542
0.2883 0.6388 0.8958
0.3612 0.7117 0.6042
0.3695 0.0520 0.5936
0.3850 0.3850 0.2935
0.3850 0.3850 0.7065
0.4480 0.8695 0.3436
0.5520 0.1305 0.8436
0.6150 0.6150 0.2065
0.6150 0.6150 0.7935
0.6305 0.9480 0.0936
0.6388 0.2883 0.1042
0.7117 0.3612 0.3958
0.7883 0.8612 0.3542
0.8612 0.7883 0.6458
0.8695 0.4480 0.6564
0.8850 0.1150 0.5435
0.8850 0.1150 0.9565
0.9480 0.6305 0.9064
```

| no. | calculated formation energy (eV/atom) |
| --- | --- |
| 1 | -0.342 |
| 2 | -0.577 |
| 3 | -0.190 |
| 4 | -1.052 |
| 5 | -0.999 |
| 6 | -0.784 |
| 7 | -2.748 |
| 8 | -2.923 |
| 9 | -0.508 |
| 10 | -0.450 |
| 11 | -0.384 |
| 12 | 0.259 |
| 13 | -0.426 |
| 14 | -0.096 |